VASP calculation (PBE) on Sm23Mg4Pt7 after structural relaxation.

Lattice parameters (Å, degrees): 10.0170 10.0170 22.6307 90.00 90.00 120.00
Element x y z (fractional)
1 Sm 0.5381 0.0762 0.0851
2 Sm 0.7934 0.2066 0.2202
3 Sm 0.7397 0.8699 0.1352
4 Sm 0.0879 0.5439 0.8568
5 Sm 0.1301 0.8699 0.1352
6 Sm 0.7878 0.2122 0.4898
7 Sm 0.4133 0.2066 0.2202
8 Sm 0.2008 0.4016 0.2829
9 Sm 0.7934 0.5867 0.2202
10 Sm 0.0000 0.0000 0.9987
11 Sm 0.2066 0.4132 0.4463
12 Sm 0.0762 0.5381 0.5851
13 Sm 0.2122 0.4244 0.9898
14 Sm 0.9238 0.4619 0.0851
15 Sm 0.2066 0.4133 0.7202
16 Sm 0.5756 0.7878 0.9898
17 Sm 0.7992 0.2008 0.7829
18 Sm 0.5868 0.7934 0.4463
19 Sm 0.5439 0.4561 0.3568
20 Sm 0.6667 0.3333 0.6419
21 Sm 0.4132 0.2066 0.9463
22 Sm 0.5439 0.0879 0.3568
23 Sm 0.5867 0.7934 0.7202
24 Sm 0.7992 0.5984 0.7829
25 Sm 0.4244 0.2122 0.4898
26 Sm 0.9121 0.4561 0.3568
27 Sm 0.8699 0.1301 0.6352
28 Sm 0.2008 0.7992 0.2829
29 Sm 0.1301 0.2603 0.1352
30 Sm 0.8699 0.7397 0.6352
31 Sm 0.5984 0.7992 0.2829
32 Sm 0.7934 0.5868 0.9463
33 Sm 0.3333 0.6667 0.1419
34 Sm 0.4561 0.5439 0.8568
35 Sm 0.0000 0.0000 0.4987
36 Sm 0.2122 0.7878 0.9898
37 Sm 0.4561 0.9121 0.8568
38 Sm 0.4619 0.9238 0.5851
39 Sm 0.4016 0.2008 0.7829
40 Sm 0.5381 0.4619 0.0851
41 Sm 0.2603 0.1301 0.6352
42 Sm 0.7878 0.5756 0.4898
43 Sm 0.2066 0.7934 0.7202
44 Sm 0.4619 0.5381 0.5851
45 Sm 0.2066 0.7934 0.4463
46 Sm 0.7934 0.2066 0.9463
47 Pt 0.8563 0.7126 0.0650
48 Pt 0.5226 0.0453 0.7103
49 Pt 0.9547 0.4774 0.7103
50 Pt 0.4774 0.5226 0.2103
51 Pt 0.0453 0.5226 0.2103
52 Pt 0.1437 0.2874 0.5650
53 Pt 0.7126 0.8563 0.5650
54 Pt 0.8563 0.1437 0.0650
55 Pt 0.1437 0.8563 0.5650
56 Pt 0.6667 0.3333 0.8616
57 Pt 0.3333 0.6667 0.3616
58 Pt 0.5226 0.4774 0.7103
59 Pt 0.4774 0.9547 0.2103
60 Pt 0.2874 0.1437 0.0650
61 Mg 0.8937 0.1063 0.3635
62 Mg 0.0000 0.0000 0.7494
63 Mg 0.1063 0.8937 0.8635
64 Mg 0.1063 0.2127 0.8635
65 Mg 0.0000 0.0000 0.2494
66 Mg 0.8937 0.7873 0.3635
67 Mg 0.2127 0.1063 0.3635
68 Mg 0.7873 0.8937 0.8635

- E_tot (eV/cell) = -353.475
- magnetic moment (μB/f.u.) = 0.08

=====

VASP calculation (PBE) on Cd2GaAgSe2S2 after structural relaxation.

Lattice parameters (Å, degrees): 7.9868 7.9868 7.3336 64.20 64.20 30.04
Element x y z (fractional)
1 Se 0.7541 0.7541 0.5781
2 Se 0.2624 0.2624 0.0746
3 S 0.9893 0.9893 0.6970
4 S 0.4975 0.4975 0.1472
5 Ga 0.4436 0.4436 0.9031
6 Ag 0.9459 0.9459 0.3823
7 Cd 0.1796 0.1796 0.4901
8 Cd 0.6818 0.6818 0.9731

- magnetic moment (μB/f.u.) = 0.00
- excess energy over the best structure of this formula in the dataset (meV per atom) = 0

=====

VASP calculation (PBE) on Cs3Rb5Se4O16 after structural relaxation.

Lattice parameters (Å, degrees): 6.4228 8.3718 11.1979 90.04 90.00 90.00
Element x y z (fractional)
1 O 0.7500 0.7031 0.4387
2 O 0.0364 0.2959 0.3491
3 O 0.0364 0.7968 0.1500
4 O 0.4636 0.7968 0.1500
5 O 0.2500 0.5280 0.0811
6 O 0.9645 0.2034 0.8509
7 O 0.7500 0.9714 0.5811
8 O 0.2500 0.0285 0.4189
9 O 0.7500 0.2029 0.0619
10 O 0.2500 0.7970 0.9389
11 O 0.9639 0.7037 0.6501
12 O 0.5361 0.7037 0.6501
13 O 0.2500 0.2969 0.5608
14 O 0.7500 0.4711 0.9190
15 O 0.4636 0.2959 0.3491
16 O 0.5355 0.2034 0.8509
17 Cs 0.7500 0.3272 0.5890
18 Cs 0.7500 0.8273 0.9111
19 Cs 0.2500 0.6728 0.4110
20 Se 0.7500 0.7716 0.5801
21 Se 0.2500 0.7281 0.0801
22 Se 0.7500 0.2713 0.9206
23 Se 0.2500 0.2282 0.4194
24 Rb 0.7500 0.5068 0.2057
25 Rb 0.7500 0.0071 0.2940
26 Rb 0.2500 0.1751 0.0879
27 Rb 0.2500 0.9930 0.7059
28 Rb 0.2500 0.4929 0.7944

- E_tot (eV/cell) = -140.245
- magnetic moment (μB/f.u.) = 0.00

=====

VASP calculation (PBE) on ZnSb2O4 after structural relaxation.

Lattice parameters (Å, degrees): 6.4898 6.4898 12.0289 64.03 64.03 30.39
Element x y z (fractional)
1 Sb 0.8968 0.8719 0.9429
2 Sb 0.1281 0.1032 0.0571
3 Sb 0.6391 0.6462 0.6593
4 Sb 0.3538 0.3609 0.3407
5 O 0.7101 0.7441 0.9254
6 O 0.4187 0.4455 0.7996
7 O 0.8579 0.8691 0.2402
8 O 0.1769 0.1857 0.3624
9 O 0.2559 0.2899 0.0746
10 O 0.1309 0.1421 0.7598
11 O 0.5545 0.5813 0.2004
12 O 0.8143 0.8231 0.6376
13 Zn 0.3265 0.3250 0.7175
14 Zn 0.6750 0.6735 0.2825

- magnetic moment (μB/f.u.) = 0.00
- excess energy over the best structure of this formula in the dataset (meV per atom) = 114

=====

VASP calculation (PBE) on Pr2C3 after structural relaxation.

Lattice parameters (Å, degrees): 7.5344 7.5344 7.5344 109.47 109.47 109.47
Element x y z (fractional)
1 Pr 0.3965 0.3965 0.3965
2 Pr 0.0000 0.6035 0.5000
3 Pr 0.5000 0.0000 0.1035
4 Pr 0.6035 0.5000 0.0000
5 Pr 0.8965 0.8965 0.8965
6 Pr 0.0000 0.1035 0.5000
7 Pr 0.5000 0.0000 0.6035
8 Pr 0.1035 0.5000 0.0000
9 C 0.2013 0.9513 0.2500
10 C 0.7013 0.7500 0.4513
11 C 0.7987 0.2500 0.0487
12 C 0.2987 0.5487 0.7500
13 C 0.2500 0.2013 0.9513
14 C 0.5487 0.7500 0.2987
15 C 0.0487 0.7987 0.2500
16 C 0.9513 0.2500 0.2013
17 C 0.7500 0.4513 0.7013
18 C 0.7500 0.2987 0.5487
19 C 0.4513 0.7013 0.7500
20 C 0.2500 0.0487 0.7987

- E_tot (eV/cell) = -151.802

=====

VASP calculation (PBE) on LaMgO3 after structural relaxation.

Lattice parameters (Å, degrees): 3.9458 3.9458 3.9458 90.00 90.00 90.00
Element x y z (fractional)
1 O 0.0000 0.5000 0.5000
2 O 0.5000 0.0000 0.5000
3 O 0.5000 0.5000 0.0000
4 Mg 0.5000 0.5000 0.5000
5 La 0.0000 0.0000 0.0000

- E_tot (eV/cell) = -34.066
- magnetic moment (μB/f.u.) = 1.00